Here is Ba3LiTi3O8 after structural relaxation from the Materials Project database. Energies are from GGA-PBE.

Properties
Total magnetization   1.17 μB per cell
SG   P1, No. 1
Energy relative to the lowest polymorph listed for this composition   5.3 kJ per mole of atoms

Lattice parameters (Å, degrees): 6.079 6.089 7.362 86.76 98.00 123.24
Fractional coordinates of all 15 atoms:
Ba1 0.708 0.353 0.327
Ti1 0.628 0.352 0.865
Ba2 0.243 0.667 0.715
Ba3 0.983 0.007 0.981
O1 0.481 0.486 0.003
Ti2 0.065 0.099 0.487
O2 0.762 0.873 0.303
O3 0.778 0.608 0.689
O4 0.985 0.487 0.019
Li1 0.602 0.716 0.510
Ti3 0.371 0.687 0.154
O5 0.487 0.999 0.015
O6 0.839 0.120 0.626
O7 0.261 0.416 0.370
O8 0.315 0.131 0.686

Here is V2Cu3Sb4 after structural relaxation from the Materials Project database. Energies are from GGA-PBE.

Properties
Total magnetization   0.45 μB per cell
SG   P6_3/mmc, No. 194
Total DFT energy (no corrections)   -5.286 eV/atom

Lattice parameters (Å, degrees): 5.320 8.567 8.567 120.00 90.00 90.00
Fractional coordinates of all 18 atoms:
Cu1 0.500 0.500 0.500
Sb1 0.750 0.844 0.689
Cu2 0.000 0.500 0.500
V1 0.500 0.000 0.000
V2 0.000 0.000 0.000
Sb2 0.250 0.689 0.844
Sb3 0.750 0.311 0.156
Sb4 0.750 0.333 0.667
Sb5 0.250 0.667 0.333
Cu3 0.500 0.000 0.500
V3 0.750 0.667 0.333
Cu4 0.000 0.500 0.000
V4 0.250 0.333 0.667
Sb6 0.750 0.844 0.156
Cu5 0.000 0.000 0.500
Sb7 0.250 0.156 0.311
Cu6 0.500 0.500 0.000
Sb8 0.250 0.156 0.844

Here is Mg3Zn after structural relaxation from the Materials Project database. Energies are from GGA-PBE.

Properties
SG   P-6m2, No. 187
Total DFT energy (no corrections)   -1.520 eV/atom

Lattice parameters (Å, degrees): 3.152 3.152 9.560 90.00 90.00 120.00
Fractional coordinates of all 4 atoms:
Mg1 0.000 0.000 0.000
Mg2 0.667 0.333 0.269
Mg3 0.667 0.333 0.731
Zn1 0.000 0.000 0.500